(1)
The following is a DFT calculation (PBE) of a relaxed LuHCl crystal.

Total energy after the MP2020 corrections = -4.84 eV per atom
DFT formation energy = -1.58 eV per atom
V = 320 Å³ per cell
Final energy = -4.6319 eV/atom
Mass density = 6.58 g cm⁻³

The structure in CIF format:
```
data_LuHCl
_space_group_name_H-M_alt 'R -3 m'
_space_group_IT_number 166
_space_group_name_Hall '-R 3 2"'
_cell_length_a 3.6542
_cell_length_b 3.6542
_cell_length_c 27.7035
_cell_angle_alpha 90.00
_cell_angle_beta 90.00
_cell_angle_gamma 120.00
loop_
_atom_site_label
_atom_site_type_symbol
_atom_site_fract_x
_atom_site_fract_y
_atom_site_fract_z
Lu1 Lu 0.0000 0.0000 0.1195
H1 H 0.0000 0.0000 0.1963
Cl1 Cl 0.0000 0.0000 0.3923
```

(2)
The following is a DFT calculation (PBE) of a relaxed Tb3PbC crystal.

DFT formation energy = 1.61 eV per atom
V = 186 Å³ per cell
Final energy = -3.7572 eV/atom
Mass density = 6.22 g cm⁻³

The structure in CIF format:
```
data_Tb3PbC
_space_group_name_H-M_alt 'P m -3 m'
_space_group_IT_number 221
_space_group_name_Hall '-P 4 2 3'
_cell_length_a 5.7067
_cell_length_b 5.7067
_cell_length_c 5.7067
_cell_angle_alpha 90.00
_cell_angle_beta 90.00
_cell_angle_gamma 90.00
loop_
_atom_site_label
_atom_site_type_symbol
_atom_site_fract_x
_atom_site_fract_y
_atom_site_fract_z
Tb1 Tb 0.0000 0.0000 0.5000
Pb1 Pb 0.0000 0.0000 0.0000
C1 C 0.5000 0.5000 0.5000
```

(3)
The following is a DFT calculation (PBE) of a relaxed Hg6S4Br3Cl crystal.

Total energy after the MP2020 corrections = -2.32 eV per atom
DFT formation energy = -0.52 eV per atom
V = 1670 Å³ per cell
Final energy = -2.1293 eV/atom
Mass density = 6.39 g cm⁻³

The structure in CIF format:
```
data_Hg6S4Br3Cl
_space_group_name_H-M_alt 'C 1 2/m 1'
_space_group_IT_number 12
_space_group_name_Hall '-C 2y'
_cell_length_a 18.6774
_cell_length_b 9.4643
_cell_length_c 10.5942
_cell_angle_alpha 90.00
_cell_angle_beta 116.89
_cell_angle_gamma 90.00
loop_
_atom_site_label
_atom_site_type_symbol
_atom_site_fract_x
_atom_site_fract_y
_atom_site_fract_z
Hg1 Hg 0.0743 0.0000 0.2253
Hg2 Hg 0.0740 0.2685 0.7948
Hg3 Hg 0.1309 0.2632 0.5046
Hg4 Hg 0.2174 0.0000 0.7881
S1 S 0.0663 0.2574 0.2468
S2 S 0.1963 0.2560 0.7624
Br1 Br 0.0000 0.0000 0.5000
Br2 Br 0.0000 0.5000 0.5000
Br3 Br 0.1192 0.0000 0.9896
Br4 Br 0.2488 0.0000 0.5020
Cl1 Cl 0.1253 0.5000 0.9867
```

(4)
The following is a DFT calculation (PBE) of a relaxed Na4Mg2Sc2SiS5O24 crystal.

Total energy after the MP2020 corrections = -6.90 eV per atom
DFT formation energy = -2.53 eV per atom
V = 1554 Å³ per cell
Final energy = -6.4683 eV/atom
Mass density = 2.57 g cm⁻³

The structure in CIF format:
```
data_Na4Mg2Sc2SiS5O24
_space_group_name_H-M_alt 'P 1'
_space_group_IT_number 1
_space_group_name_Hall 'P 1'
_cell_length_a 8.8558
_cell_length_b 8.9067
_cell_length_c 22.6832
_cell_angle_alpha 89.95
_cell_angle_beta 90.00
_cell_angle_gamma 60.27
loop_
_atom_site_label
_atom_site_type_symbol
_atom_site_fract_x
_atom_site_fract_y
_atom_site_fract_z
Na1 Na 0.0000 0.0000 0.0000
Na2 Na 0.0006 0.9999 0.4898
Na3 Na 0.0314 0.6705 0.9093
Na4 Na 0.3177 0.3445 0.3290
Na5 Na 0.3229 0.3466 0.8305
Na6 Na 0.3438 0.0100 0.2526
Na7 Na 0.6476 0.9928 0.7422
Na8 Na 0.6611 0.6822 0.6622
Na9 Na 0.6750 0.6539 0.1664
Na10 Na 0.6940 0.3247 0.5743
Na11 Na 0.9574 0.7044 0.5794
Na12 Na 0.9691 0.3290 0.0902
Mg1 Mg 0.0012 0.0074 0.3459
Mg2 Mg 0.0054 0.9937 0.8484
Mg3 Mg 0.3401 0.3286 0.9812
Mg4 Mg 0.6586 0.6715 0.0155
Mg5 Mg 0.6592 0.6839 0.5125
Mg6 Mg 0.9939 0.0049 0.1499
Sc1 Sc 0.3285 0.3339 0.6837
Sc2 Sc 0.3292 0.3384 0.1837
Sc3 Sc 0.3463 0.3184 0.4766
Sc4 Sc 0.6721 0.6639 0.8130
Sc5 Sc 0.6831 0.6515 0.3103
Sc6 Sc 0.9961 0.9908 0.6481
Si1 Si 0.0048 0.6989 0.7513
Si2 Si 0.6266 0.0337 0.5832
Si3 Si 0.9990 0.2907 0.2444
S1 S 0.0372 0.6312 0.0778
S2 S 0.0383 0.3329 0.5792
S3 S 0.2879 0.7112 0.2480
S4 S 0.2901 0.9998 0.7498
S5 S 0.3356 0.0368 0.0798
S6 S 0.3360 0.6254 0.5796
S7 S 0.3692 0.9574 0.4130
S8 S 0.3721 0.6668 0.9159
S9 S 0.6284 0.3327 0.0787
S10 S 0.6634 0.9643 0.9151
S11 S 0.6702 0.3719 0.4161
S12 S 0.7097 0.9999 0.2478
S13 S 0.7097 0.2931 0.7488
S14 S 0.9628 0.3685 0.9166
S15 S 0.9641 0.6700 0.4157
O1 O 0.0179 0.8042 0.0860
O2 O 0.0222 0.1761 0.5864
O3 O 0.0234 0.7894 0.8101
O4 O 0.0445 0.1635 0.3000
O5 O 0.1163 0.3667 0.6322
O6 O 0.1246 0.5157 0.1295
O7 O 0.1359 0.3594 0.9205
O8 O 0.1387 0.5121 0.4198
O9 O 0.1407 0.5511 0.0235
O10 O 0.1439 0.3125 0.5266
O11 O 0.1721 0.5073 0.7421
O12 O 0.1764 0.0200 0.0841
O13 O 0.1774 0.3130 0.2388
O14 O 0.1833 0.7842 0.3014
O15 O 0.1827 0.8006 0.5865
O16 O 0.1847 0.0248 0.8019
O17 O 0.1943 0.9751 0.4100
O18 O 0.1956 0.8243 0.9118
O19 O 0.2079 0.8162 0.1947
O20 O 0.2097 0.9819 0.6950
O21 O 0.2978 0.5481 0.5278
O22 O 0.3074 0.1527 0.0289
O23 O 0.3194 0.5313 0.2408
O24 O 0.3199 0.1510 0.7451
O25 O 0.3468 0.5125 0.9199
O26 O 0.3505 0.1347 0.4184
O27 O 0.3581 0.1166 0.1346
O28 O 0.3612 0.5184 0.6330
O29 O 0.4576 0.8537 0.4656
O30 O 0.4598 0.6844 0.9680
O31 O 0.4615 0.7020 0.2542
O32 O 0.4669 0.8427 0.7541
O33 O 0.4714 0.8804 0.3587
O34 O 0.4755 0.6456 0.8617
O35 O 0.4926 0.8642 0.0733
O36 O 0.4975 0.6337 0.5723
O37 O 0.5072 0.1362 0.9211
O38 O 0.5070 0.3598 0.4184
O39 O 0.5191 0.1251 0.6437
O40 O 0.5247 0.3545 0.1323
O41 O 0.5313 0.1684 0.5283
O42 O 0.5324 0.1574 0.2414
O43 O 0.5365 0.3035 0.7442
O44 O 0.5414 0.3156 0.0260
O45 O 0.6411 0.8849 0.8596
O46 O 0.6494 0.4810 0.3642
O47 O 0.6544 0.4868 0.0743
O48 O 0.6588 0.8390 0.5763
O49 O 0.6741 0.8515 0.2537
O50 O 0.6835 0.4700 0.7544
O51 O 0.6877 0.4534 0.4711
O52 O 0.6923 0.8466 0.9652
O53 O 0.7903 0.0196 0.3012
O54 O 0.7979 0.1826 0.7996
O55 O 0.8049 0.1747 0.0826
O56 O 0.8092 0.2202 0.6930
O57 O 0.8138 0.9697 0.1942
O58 O 0.8201 0.6909 0.7544
O59 O 0.8221 0.0215 0.5852
O60 O 0.8227 0.1972 0.4106
O61 O 0.8236 0.9796 0.9103
O62 O 0.8305 0.4873 0.2531
O63 O 0.8583 0.4502 0.9701
O64 O 0.8608 0.4850 0.5735
O65 O 0.8642 0.6403 0.0735
O66 O 0.8636 0.6881 0.4706
O67 O 0.8763 0.4839 0.8641
O68 O 0.8758 0.6464 0.3639
O69 O 0.9683 0.8204 0.6913
O70 O 0.9732 0.2165 0.1825
O71 O 0.9815 0.1962 0.9080
O72 O 0.9812 0.8258 0.4090
```